Crystalline Na5ZrZn3P3S3O24 at its relaxed geometry. Source: the Materials Project database, functional GGA-PBE.

Cell lengths 8.9599, 8.9755, 22.5235 Å; angles 90.16, 89.64, 119.91 degrees
Fractional positions:
1 Na 0.0021 0.6341 0.2540
2 Na 0.2999 0.3396 0.5879
3 Na 0.0292 0.6948 0.5823
4 Na 0.6703 0.9615 0.5811
5 Na 0.6683 0.7011 0.0827
6 Na 0.0361 0.3400 0.0856
7 Na 0.9778 0.6807 0.9120
8 Na 0.3235 0.2943 0.9079
9 Na 0.7024 0.6782 0.4160
10 Na 0.9987 0.0034 0.4953
11 Na 0.0002 0.9948 0.9959
12 Na 0.6582 0.3211 0.8215
13 Na 0.6563 0.3073 0.3302
14 Na 0.3361 0.6776 0.1710
15 Na 0.3320 0.6546 0.6641
16 Zr 0.6689 0.3325 0.9797
17 Zr 0.6792 0.3335 0.4794
18 Zr 0.3358 0.6639 0.8126
19 Zn 0.0005 0.0038 0.3518
20 Zn 0.0017 0.0087 0.8468
21 Zn 0.9988 0.0090 0.6546
22 Zn 0.0047 0.9921 0.1557
23 Zn 0.6652 0.3449 0.6837
24 Zn 0.6678 0.3318 0.1845
25 Zn 0.3255 0.6724 0.0109
26 Zn 0.3320 0.6674 0.5096
27 Zn 0.3357 0.6763 0.3229
28 P 0.2986 0.2894 0.7496
29 P 0.9634 0.3348 0.5873
30 P 0.6653 0.6296 0.5843
31 P 0.9662 0.6319 0.0863
32 P 0.6299 0.6748 0.9205
33 P 0.0427 0.3690 0.9193
34 P 0.3294 0.9582 0.9174
35 P 0.6281 0.9568 0.4161
36 P 0.0444 0.6745 0.4153
37 S 0.2963 0.0023 0.2500
38 S 0.6994 0.7023 0.2493
39 S 0.0016 0.2937 0.2486
40 S 0.9973 0.7059 0.7502
41 S 0.7084 0.0043 0.7495
42 S 0.3732 0.0391 0.5851
43 S 0.6642 0.0356 0.0859
44 S 0.3690 0.3309 0.0852
45 S 0.3299 0.3707 0.4166
46 O 0.2132 0.0252 0.3030
47 O 0.8111 0.7853 0.3017
48 O 0.9808 0.1868 0.3003
49 O 0.2151 0.1901 0.8072
50 O 0.9789 0.7866 0.8050
51 O 0.8093 0.0205 0.8022
52 O 0.7770 0.9730 0.6938
53 O 0.1918 0.2139 0.6927
54 O 0.0218 0.8072 0.6959
55 O 0.7784 0.8042 0.1937
56 O 0.0200 0.2163 0.1918
57 O 0.1910 0.9734 0.1955
58 O 0.8741 0.3632 0.6401
59 O 0.4808 0.1186 0.6372
60 O 0.6300 0.5100 0.6367
61 O 0.8770 0.5153 0.1406
62 O 0.6410 0.1199 0.1385
63 O 0.4814 0.3546 0.1362
64 O 0.4517 0.3092 0.0292
65 O 0.8470 0.5374 0.0298
66 O 0.6875 0.1464 0.0317
67 O 0.4569 0.1487 0.5311
68 O 0.6913 0.5423 0.5267
69 O 0.8467 0.3060 0.5306
70 O 0.5496 0.6929 0.9782
71 O 0.1466 0.4452 0.9762
72 O 0.2984 0.8505 0.9727
73 O 0.5532 0.8524 0.4743
74 O 0.3074 0.4442 0.4729
75 O 0.1424 0.6912 0.4730
76 O 0.1165 0.6396 0.3584
77 O 0.5188 0.8763 0.3618
78 O 0.3642 0.4826 0.3649
79 O 0.1303 0.4935 0.8658
80 O 0.3593 0.8732 0.8622
81 O 0.5079 0.6380 0.8666
82 O 0.0120 0.8284 0.4109
83 O 0.8106 0.9781 0.4107
84 O 0.1799 0.1964 0.4102
85 O 0.0218 0.1917 0.9103
86 O 0.1716 0.9827 0.9105
87 O 0.8136 0.8222 0.9109
88 O 0.9792 0.1699 0.5885
89 O 0.1994 0.0222 0.5884
90 O 0.8332 0.8076 0.5884
91 O 0.9705 0.8065 0.0889
92 O 0.8271 0.0285 0.0877
93 O 0.1948 0.1802 0.0887
94 O 0.6860 0.1563 0.7450
95 O 0.4809 0.3131 0.7454
96 O 0.8469 0.5305 0.7468
97 O 0.6908 0.5302 0.2445
98 O 0.8449 0.3164 0.2459
99 O 0.4713 0.1574 0.2436
100 O 0.6408 0.5017 0.9236
101 O 0.8629 0.3610 0.9235
102 O 0.4920 0.1437 0.9230
103 O 0.6459 0.1404 0.4231
104 O 0.4920 0.3569 0.4222
105 O 0.8539 0.5098 0.4211
106 O 0.3576 0.4903 0.0801
107 O 0.1417 0.6419 0.0785
108 O 0.5168 0.8621 0.0795
109 O 0.3536 0.8651 0.5779
110 O 0.5049 0.6519 0.5775
111 O 0.1434 0.4967 0.5784
112 O 0.3096 0.8425 0.2541
113 O 0.5259 0.6805 0.2551
114 O 0.1552 0.4705 0.2524
115 O 0.3164 0.4759 0.7563
116 O 0.1584 0.6897 0.7551
117 O 0.5303 0.8452 0.7556

Calculated values
Calculated volume (Å³ per cell): 1570.04
Total DFT energy (no corrections) (eV/atom): -6.2106
DFT formation energy (meV/atom): -2368.2